Computed, not measured: a relaxed structure of Np2C3 at the PBE level of DFT.

Cell lengths 6.9513, 6.9513, 6.9513 Å; angles 109.47, 109.47, 109.47 degrees
Fractional positions:
Np: 0.0000 0.0986 0.5000
Np: 0.0000 0.5986 0.5000
Np: 0.0986 0.5000 0.0000
Np: 0.4014 0.4014 0.4014
Np: 0.5000 0.0000 0.0986
Np: 0.5000 0.0000 0.5986
Np: 0.5986 0.5000 0.0000
Np: 0.9014 0.9014 0.9014
C: 0.0366 0.7866 0.2500
C: 0.2134 0.9634 0.2500
C: 0.2500 0.0366 0.7866
C: 0.2500 0.2134 0.9634
C: 0.2866 0.5366 0.7500
C: 0.4634 0.7134 0.7500
C: 0.5366 0.7500 0.2866
C: 0.7134 0.7500 0.4634
C: 0.7500 0.2866 0.5366
C: 0.7500 0.4634 0.7134
C: 0.7866 0.2500 0.0366
C: 0.9634 0.2500 0.2134

Properties
symmetry	I-43d, No. 220
formation enthalpy at 0 K	0.0422	eV per atom

Computed, not measured: a relaxed structure of NpCO4 at the PBE level of DFT.

Cell lengths 6.7700, 6.7700, 8.3200 Å; angles 90.00, 90.00, 90.00 degrees
Fractional positions:
Np: 0.2279 0.2506 0.0000
Np: 0.2506 0.7721 0.7500
Np: 0.7494 0.2279 0.2500
Np: 0.7721 0.7494 0.5000
C: 0.2298 0.7476 0.1506
C: 0.2524 0.2298 0.4006
C: 0.7476 0.7702 0.9006
C: 0.7702 0.2524 0.6506
O: 0.0502 0.7447 0.5068
O: 0.1217 0.2052 0.2953
O: 0.2052 0.8783 0.0453
O: 0.2391 0.4983 0.7935
O: 0.2445 0.5681 0.1490
O: 0.2553 0.0502 0.7568
O: 0.4319 0.2445 0.3990
O: 0.4983 0.7609 0.5435
O: 0.5017 0.2391 0.0435
O: 0.5681 0.7555 0.8990
O: 0.7447 0.9498 0.2568
O: 0.7555 0.4319 0.6490
O: 0.7609 0.5017 0.2935
O: 0.7948 0.1217 0.5453
O: 0.8783 0.7948 0.7953
O: 0.9498 0.2553 0.0068

Properties
symmetry	P4_1, No. 76
formation enthalpy at 0 K	-2.3326	eV per atom

Computed, not measured: a relaxed structure of Os5C17O16 at the PBE level of DFT.

Cell lengths 10.1794, 16.0737, 16.7169 Å; angles 96.74, 103.31, 93.32 degrees
Fractional positions:
Os: 0.0131 0.2910 0.1408
Os: 0.0149 0.4729 0.1922
Os: 0.0716 0.6382 0.7100
Os: 0.2035 0.1231 0.7707
Os: 0.2084 0.4443 0.3458
Os: 0.2898 0.2976 0.2486
Os: 0.3274 0.1557 0.6311
Os: 0.4228 0.7793 0.2397
Os: 0.4592 0.9512 0.3004
Os: 0.4824 0.1026 0.8617
Os: 0.5176 0.8974 0.1383
Os: 0.5408 0.0488 0.6996
Os: 0.5772 0.2207 0.7603
Os: 0.6726 0.8443 0.3689
Os: 0.7102 0.7024 0.7514
Os: 0.7916 0.5557 0.6542
Os: 0.7965 0.8769 0.2293
Os: 0.9284 0.3618 0.2900
Os: 0.9851 0.5271 0.8078
Os: 0.9869 0.7090 0.8592
C: 0.0187 0.8280 0.8589
C: 0.0227 0.5859 0.2428
C: 0.0281 0.1375 0.7020
C: 0.0511 0.7162 0.6303
C: 0.0898 0.2902 0.0466
C: 0.1046 0.3698 0.2436
C: 0.1105 0.5067 0.1136
C: 0.1434 0.1033 0.8688
C: 0.1428 0.5531 0.6468
C: 0.1448 0.5352 0.4085
C: 0.1632 0.7028 0.9284
C: 0.1681 0.5214 0.8681
C: 0.1753 0.0021 0.7283
C: 0.1958 0.0781 0.5526
C: 0.2167 0.2177 0.3113
C: 0.2274 0.2528 0.6203
C: 0.2341 0.2442 0.8126
C: 0.2417 0.7749 0.1748
C: 0.2483 0.6851 0.7681
C: 0.2816 0.3959 0.4439
C: 0.2839 0.9790 0.2484
C: 0.3284 0.2016 0.1799
C: 0.3334 0.9083 0.0827
C: 0.3538 0.3744 0.1785
C: 0.3625 0.7356 0.3273
C: 0.3714 0.5090 0.3431
C: 0.4014 0.9469 0.4005
C: 0.4099 0.1782 0.5426
C: 0.4121 0.1304 0.7458
C: 0.4209 0.9969 0.8883
C: 0.4524 0.9368 0.6772
C: 0.4548 0.1780 0.9531
C: 0.4631 0.3155 0.3282
C: 0.4646 0.6735 0.1889
C: 0.5354 0.3265 0.8111
C: 0.5369 0.6845 0.6718
C: 0.5452 0.8220 0.0469
C: 0.5476 0.0632 0.3228
C: 0.5791 0.0031 0.1117
C: 0.5879 0.8696 0.2542
C: 0.5901 0.8218 0.4574
C: 0.5986 0.0531 0.5995
C: 0.6286 0.4910 0.6569
C: 0.6375 0.2644 0.6727
C: 0.6462 0.6256 0.8215
C: 0.6666 0.0917 0.9173
C: 0.6716 0.7984 0.8201
C: 0.7161 0.0210 0.7516
C: 0.7184 0.6041 0.5561
C: 0.7517 0.3149 0.2319
C: 0.7583 0.2251 0.8252
C: 0.7659 0.7558 0.1874
C: 0.7726 0.7472 0.3797
C: 0.7833 0.7823 0.6887
C: 0.8042 0.9219 0.4474
C: 0.8247 0.9979 0.2717
C: 0.8319 0.4786 0.1319
C: 0.8368 0.2972 0.0716
C: 0.8552 0.4648 0.5915
C: 0.8572 0.4469 0.3532
C: 0.8566 0.8967 0.1312
C: 0.8895 0.4933 0.8864
C: 0.8954 0.6302 0.7564
C: 0.9102 0.7098 0.9534
C: 0.9489 0.2838 0.3697
C: 0.9719 0.8625 0.2980
C: 0.9773 0.4141 0.7572
C: 0.9813 0.1720 0.1411
O: 0.0310 0.6570 0.2695
O: 0.0406 0.8997 0.8580
O: 0.0442 0.7581 0.5773
O: 0.0770 0.8551 0.3399
O: 0.1090 0.5895 0.4482
O: 0.1109 0.0926 0.9289
O: 0.1192 0.0326 0.5017
O: 0.1296 0.7718 0.1363
O: 0.1387 0.2922 0.9904
O: 0.1520 0.9318 0.7027
O: 0.1598 0.5297 0.0627
O: 0.1658 0.3114 0.6164
O: 0.1746 0.9969 0.2203
O: 0.1772 0.1670 0.3455
O: 0.1905 0.5024 0.6094
O: 0.2231 0.9155 0.0470
O: 0.2486 0.3146 0.8380
O: 0.2691 0.7000 0.9721
O: 0.2800 0.5164 0.9024
O: 0.3243 0.7083 0.3803
O: 0.3284 0.3646 0.5021
O: 0.3471 0.1420 0.1394
O: 0.3574 0.7153 0.8016
O: 0.3610 0.9448 0.4603
O: 0.3844 0.9314 0.9029
O: 0.3933 0.4167 0.1367
O: 0.4104 0.8662 0.6662
O: 0.4342 0.6720 0.6232
O: 0.4366 0.2250 0.0071
O: 0.4538 0.1902 0.4862
O: 0.4713 0.5466 0.3406
O: 0.4808 0.6073 0.1579
O: 0.5192 0.3927 0.8421
O: 0.5287 0.4534 0.6594
O: 0.5462 0.8098 0.5138
O: 0.5634 0.7750 0.9929
O: 0.5658 0.3280 0.3768
O: 0.5896 0.1338 0.3338
O: 0.6067 0.5833 0.8633
O: 0.6156 0.0686 0.0971
O: 0.6390 0.0552 0.5397
O: 0.6426 0.2847 0.1984
O: 0.6529 0.8580 0.8606
O: 0.6716 0.6354 0.4979
O: 0.6757 0.2917 0.6197
O: 0.7200 0.4836 0.0976
O: 0.7309 0.3000 0.0279
O: 0.7514 0.6854 0.1620
O: 0.7769 0.0845 0.9530
O: 0.8095 0.4976 0.3906
O: 0.8228 0.8330 0.6545
O: 0.8254 0.0031 0.7797
O: 0.8342 0.6886 0.3836
O: 0.8402 0.4703 0.9373
O: 0.8480 0.0682 0.2973
O: 0.8613 0.7078 0.0096
O: 0.8704 0.2282 0.8637
O: 0.8808 0.9674 0.4983
O: 0.8891 0.9074 0.0711
O: 0.8910 0.4105 0.5518
O: 0.9230 0.1449 0.6601
O: 0.9558 0.2419 0.4227
O: 0.9594 0.1003 0.1420
O: 0.9690 0.3430 0.7305

Properties
symmetry	P-1, No. 2
formation enthalpy at 0 K	-0.8916	eV per atom

Computed, not measured: a relaxed structure of Os5C19O19 at the PBE level of DFT.

Cell lengths 8.9685, 10.3688, 16.7236 Å; angles 99.91, 93.63, 110.13 degrees
Fractional positions:
Os: 0.0198 0.3125 0.3252
Os: 0.1630 0.9805 0.7651
Os: 0.1882 0.2330 0.8878
Os: 0.3217 0.8116 0.6606
Os: 0.4331 0.2569 0.7779
Os: 0.5669 0.7431 0.2221
Os: 0.6783 0.1884 0.3394
Os: 0.8118 0.7670 0.1122
Os: 0.8370 0.0195 0.2349
Os: 0.9802 0.6875 0.6748
C: 0.0220 0.1673 0.9537
C: 0.0232 0.6369 0.7791
C: 0.0341 0.0761 0.1918
C: 0.0374 0.2576 0.8075
C: 0.0374 0.4892 0.3889
C: 0.0641 0.2424 0.4225
C: 0.0803 0.0437 0.6753
C: 0.2414 0.3569 0.3140
C: 0.2658 0.4268 0.9395
C: 0.2724 0.9274 0.8505
C: 0.2810 0.9157 0.5795
C: 0.3036 0.3296 0.7135
C: 0.3304 0.6622 0.5788
C: 0.3344 0.1930 0.9640
C: 0.3501 0.7162 0.7485
C: 0.4296 0.5588 0.1676
C: 0.4503 0.8292 0.1591
C: 0.4536 0.0783 0.3209
C: 0.4571 0.7676 0.3146
C: 0.5429 0.2324 0.6854
C: 0.5464 0.9217 0.6791
C: 0.5497 0.1708 0.8409
C: 0.5704 0.4412 0.8324
C: 0.6499 0.2838 0.2515
C: 0.6656 0.8070 0.0360
C: 0.6696 0.3378 0.4212
C: 0.6964 0.6704 0.2865
C: 0.7190 0.0843 0.4205
C: 0.7276 0.0726 0.1495
C: 0.7342 0.5732 0.0605
C: 0.7586 0.6431 0.6860
C: 0.9197 0.9563 0.3247
C: 0.9359 0.7576 0.5775
C: 0.9626 0.5108 0.6111
C: 0.9626 0.7424 0.1925
C: 0.9659 0.9239 0.8082
C: 0.9768 0.3631 0.2209
C: 0.9780 0.8327 0.0463
O: 0.0238 0.0801 0.6230
O: 0.0376 0.6016 0.8402
O: 0.0510 0.5982 0.4270
O: 0.0582 0.7250 0.2348
O: 0.0738 0.8676 0.0031
O: 0.1062 0.2102 0.4801
O: 0.1538 0.1092 0.1632
O: 0.2383 0.3788 0.6728
O: 0.2677 0.9759 0.5288
O: 0.3088 0.5447 0.9710
O: 0.3156 0.0191 0.3107
O: 0.3334 0.8956 0.9033
O: 0.3392 0.5734 0.5285
O: 0.3421 0.4477 0.1344
O: 0.3686 0.8723 0.1239
O: 0.3758 0.6583 0.7980
O: 0.3791 0.3891 0.3137
O: 0.3892 0.7726 0.3714
O: 0.4115 0.1725 0.0147
O: 0.5885 0.8275 0.9853
O: 0.6108 0.2274 0.6286
O: 0.6209 0.6109 0.6863
O: 0.6242 0.3417 0.2020
O: 0.6314 0.1277 0.8761
O: 0.6579 0.5523 0.8656
O: 0.6608 0.4266 0.4715
O: 0.6666 0.1044 0.0967
O: 0.6844 0.9809 0.6893
O: 0.6912 0.4553 0.0290
O: 0.7323 0.0241 0.4712
O: 0.7617 0.6212 0.3272
O: 0.8462 0.8908 0.8368
O: 0.8938 0.7898 0.5199
O: 0.9262 0.1324 0.9969
O: 0.9418 0.2750 0.7652
O: 0.9490 0.4018 0.5730
O: 0.9624 0.3984 0.1598
O: 0.9762 0.9199 0.3770

Properties
symmetry	P-1, No. 2
formation enthalpy at 0 K	-0.9462	eV per atom

no.,uncorrected energy (eV per atom),volume (Å³ per cell)
1,-10.6741,258.57
2,-8.8693,381.33
3,-8.2916,2633.16
4,-8.2122,1425.74